1.
Pr3Ir | GGA-PBE | optimized geometry

```
16
Lattice="7.427 0.000 0.000 0.000 9.991 0.000 0.000 0.000 6.589" Properties=species:S:1:pos:R:3 pbc="T T T"
Pr 0.251 2.498 0.916
Pr 1.299 0.661 4.422
Pr 1.299 4.335 4.422
Pr 2.414 5.656 1.128
Pr 2.414 9.330 1.128
Pr 3.462 7.493 4.211
Pr 3.965 2.498 2.378
Pr 5.013 0.661 5.461
Pr 5.013 4.335 5.461
Pr 6.128 5.656 2.166
Pr 6.128 9.330 2.166
Pr 7.176 7.493 5.672
Ir 0.870 7.493 2.874
Ir 2.843 2.498 6.169
Ir 4.584 7.493 0.420
Ir 6.557 2.498 3.714
```

VASP energy: -99.54 eV for the cell shown
space group: Pnma (62)

=====

2.
CrSn2 | GGA-PBE | optimized geometry

```
12
Lattice="0.000 4.675 9.228 2.711 0.000 9.228 2.711 4.675 0.000" Properties=species:S:1:pos:R:3 pbc="T T T"
Cr 2.033 3.506 0.031
Cr 3.388 5.844 4.644
Cr 2.033 3.506 13.811
Cr 3.388 5.844 18.425
Sn 2.033 0.373 6.921
Sn 3.388 2.711 11.535
Sn 2.033 3.506 5.420
Sn 2.033 3.506 8.422
Sn 3.388 5.844 10.033
Sn 3.388 5.844 13.036
Sn 2.033 6.639 6.921
Sn 3.388 8.977 11.535
```

VASP energy: -68.91 eV for the cell shown
space group: Fddd (70)

=====

3.
NdDyIn2 | GGA-PBE | optimized geometry

```
4
Lattice="0.000 3.827 3.827 3.827 0.000 3.827 3.827 3.827 0.000" Properties=species:S:1:pos:R:3 pbc="T T T"
Nd 0.000 0.000 0.000
Dy 3.827 3.827 3.827
In 1.914 1.914 1.914
In 5.741 5.741 5.741
```

VASP energy: -16.76 eV for the cell shown
space group: Fm-3m (225)

=====

4.
BePH3O5 | GGA-PBE | optimized geometry

```
40
Lattice="8.705 0.000 0.000 0.000 8.948 0.000 0.000 0.000 5.169" Properties=species:S:1:pos:R:3 pbc="T T T"
Be 1.450 0.901 0.000
Be 2.903 5.375 2.584
Be 5.802 3.573 0.000
Be 7.255 8.047 2.584
P 1.631 8.203 2.406
P 2.722 3.729 4.990
P 5.983 5.220 2.406
P 7.075 0.746 4.990
H 0.129 2.477 3.718
H 0.509 3.443 2.562
H 1.373 5.180 0.807
H 2.979 0.705 3.391
H 3.843 7.917 5.146
H 4.224 6.951 1.133
H 4.481 1.997 3.718
H 4.862 1.032 2.562
H 5.726 8.243 0.807
H 7.332 3.769 3.391
H 8.196 5.506 5.146
H 8.577 6.471 1.133
O 0.132 8.026 2.515
O 0.249 5.987 0.370
O 1.985 2.402 5.037
O 2.076 0.062 1.190
O 2.131 0.134 3.687
O 2.222 4.609 1.103
O 2.277 4.536 3.774
O 2.368 6.877 2.453
O 4.104 1.513 2.955
O 4.220 3.552 5.099
O 4.485 5.396 2.515
O 4.602 7.436 0.370
O 6.337 2.072 5.037
O 6.428 4.412 1.190
O 6.484 4.340 3.687
O 6.574 8.814 1.103
O 6.630 8.886 3.774
O 6.720 6.546 2.453
O 8.456 2.962 2.955
O 8.573 0.922 5.099
```

VASP energy: -247.74 eV for the cell shown
space group: Pna2_1 (33)
largest piezoelectric modulus: 0.43 C/m²

=====

5.
Ca2Ta10Si9S9O72 | GGA-PBE | optimized geometry

```
102
Lattice="8.919 0.000 0.000 4.452 7.766 0.000 0.080 0.069 22.999" Properties=species:S:1:pos:R:3 pbc="T T T"
Ca 0.000 0.000 0.000
Ca 4.609 7.751 11.562
Ta 4.419 7.679 4.998
Ta 4.694 7.725 16.593
Ta 4.526 2.522 8.684
Ta 4.533 2.484 15.600
Ta 4.570 2.479 4.002
Ta 4.679 2.568 20.273
Ta 8.995 5.176 12.720
Ta 9.002 5.090 19.126
Ta 8.974 5.097 1.108
Ta 9.005 5.137 7.603
Si 2.064 2.557 17.954
Si 3.306 4.738 6.343
Si 2.677 0.051 14.000
Si 3.204 0.340 6.353
Si 5.827 4.752 17.857
Si 7.079 2.514 6.367
Si 5.906 0.343 17.916
Si 7.750 2.990 21.665
Si 10.832 7.689 2.490
S 1.388 2.223 2.552
S 3.270 5.433 14.030
S 5.840 5.425 2.557
S 6.529 5.023 10.165
S 7.892 7.366 21.652
S 10.170 7.334 10.164
S 7.697 2.249 14.024
S 10.328 3.030 10.149
S 11.542 5.061 21.635
O 1.103 1.265 17.604
O 3.815 5.965 12.801
O 3.969 6.204 6.113
O 1.305 1.427 1.356
O 3.363 3.777 21.534
O 2.901 2.928 10.006
O 3.510 3.786 5.085
O 2.978 2.786 16.606
O 2.830 2.485 2.859
O 3.777 4.076 14.282
O 5.136 6.226 17.602
O 1.651 0.155 6.009
O 3.975 4.026 7.697
O 3.000 2.285 19.228
O 1.948 0.276 12.636
O 6.120 7.528 15.279
O 5.254 5.932 1.342
O 5.610 6.318 3.737
O 5.685 6.179 10.245
O 6.470 7.452 21.792
O 3.506 1.282 7.705
O 5.130 4.066 19.159
O 5.302 4.064 2.851
O 3.748 1.230 14.366
O 5.572 3.849 16.534
O 3.965 1.044 5.125
O 4.095 0.932 21.543
O 5.742 3.759 10.033
O 7.341 5.284 2.403
O 6.092 2.946 21.483
O 8.110 6.403 13.751
O 8.242 6.568 20.466
O 7.428 5.167 8.988
O 5.026 0.885 10.041
O 6.129 2.813 5.106
O 7.418 5.003 18.069
O 8.345 6.646 6.705
O 5.182 1.061 16.621
O 7.402 4.866 11.396
O 8.496 6.724 22.912
O 5.375 1.179 2.919
O 6.280 2.555 14.284
O 6.128 2.265 7.706
O 5.663 1.335 19.197
O 8.001 3.886 0.017
O 9.616 6.654 11.402
O 8.022 3.822 6.691
O 9.703 6.670 18.204
O 8.304 3.899 20.396
O 9.835 6.498 8.988
O 9.873 6.344 2.280
O 8.369 3.636 13.764
O 7.824 1.480 12.805
O 7.190 0.275 1.214
O 11.600 7.478 10.260
O 7.461 0.203 17.447
O 8.037 1.234 6.097
O 8.382 1.671 15.183
O 8.459 1.605 21.630
O 11.856 7.478 3.829
O 9.667 3.584 2.361
O 10.649 5.265 13.780
O 9.790 3.759 8.965
O 10.671 5.247 20.458
O 10.628 4.957 6.688
O 10.038 3.868 18.106
O 10.669 4.934 22.893
O 10.062 3.843 11.376
O 12.324 6.326 15.188
O 9.706 1.732 10.192
O 9.657 1.587 3.734
O 12.422 6.190 21.757
```

VASP energy: -798.93 eV for the cell shown
space group: P1 (1)

=====

6.
YB3O6 | GGA-PBE | optimized geometry

```
40
Lattice="18.399 0.000 0.000 0.000 4.445 0.000 0.000 0.000 4.270" Properties=species:S:1:pos:R:3 pbc="T T T"
Y 3.042 0.794 0.000
Y 6.157 0.794 2.135
Y 12.242 3.651 0.000
Y 15.357 3.651 2.135
B 0.023 3.667 0.410
B 1.356 2.980 2.426
B 3.911 2.868 2.242
B 5.288 2.868 0.107
B 7.844 2.980 0.291
B 9.176 3.667 2.545
B 9.223 0.777 0.410
B 10.555 1.464 2.426
B 13.111 1.577 2.242
B 14.488 1.577 0.107
B 17.043 1.464 0.291
B 18.376 0.777 2.545
O 0.294 3.849 3.152
O 1.154 1.581 2.794
O 1.262 3.249 0.997
O 2.683 3.398 2.880
O 3.856 1.414 2.207
O 4.108 3.375 0.879
O 5.091 3.375 3.013
O 5.343 1.414 0.072
O 6.516 3.398 0.745
O 7.937 3.249 3.131
O 8.046 1.581 0.659
O 8.906 3.849 1.017
O 9.493 0.595 3.152
O 10.353 2.864 2.794
O 10.462 1.196 0.997
O 11.883 1.046 2.880
O 13.056 3.030 2.207
O 13.308 1.069 0.879
O 14.291 1.069 3.013
O 14.543 3.030 0.072
O 15.716 1.046 0.745
O 17.137 1.196 3.131
O 17.246 2.864 0.659
O 18.105 0.595 1.017
```

space group: Pca2_1 (29)
polymorph energy (0 for the lowest one): 0.022 eV per atom